(1)
Na6Nb3In5P12O48 | PBE | optimized geometry

VASP energy = -1553.92 eV/cell
Total magnetization = 0.00 μB per formula unit

Cell: 17.8801 8.9454 22.7901 Å, 90.03 90.02 120.01°
Sites, in units of the cell vectors:
Na 0.0003 0.9995 0.5066
O 0.4321 0.5056 0.1373
O 0.3512 0.1710 0.7507
O 0.4274 0.5150 0.4227
O 0.9259 0.5437 0.0307
O 0.9094 0.0031 0.0853
P 0.3324 0.6306 0.5812
O 0.1545 0.4676 0.4695
Na 0.0007 0.3697 0.7463
O 0.4994 0.1828 0.5864
O 0.5748 0.5024 0.5723
O 0.8305 0.5159 0.9237
O 0.0970 0.1855 0.0903
Na 0.6755 0.6652 0.6656
O 0.0799 0.6868 0.7573
Nb 0.1661 0.6668 0.5186
O 0.3460 0.1444 0.0271
In 0.8334 0.3325 0.9833
O 0.9089 0.8144 0.5857
O 0.3502 0.5263 0.2425
O 0.8512 0.1708 0.7507
O 0.2634 0.6395 0.8609
O 0.9295 0.3447 0.9226
P 0.9988 0.7076 0.7517
Na 0.1756 0.6655 0.6652
O 0.4030 0.9663 0.4097
O 0.1012 0.0277 0.3054
P 0.6455 0.9995 0.2503
O 0.2492 0.6488 0.5714
P 0.6663 0.3726 0.4136
O 0.2672 0.6925 0.9711
O 0.5699 0.6337 0.0767
O 0.3940 0.8128 0.1940
O 0.4506 0.3701 0.6428
O 0.2426 0.1422 0.9216
O 0.6539 0.8367 0.9677
O 0.7488 0.6475 0.5711
O 0.5795 0.1915 0.4088
Na 0.6829 0.9949 0.7468
O 0.5567 0.6380 0.3599
O 0.1798 0.4734 0.3599
O 0.9114 0.0135 0.8064
O 0.2663 0.8409 0.4692
O 0.8302 0.1444 0.4229
O 0.0801 0.9673 0.9120
Na 0.6829 0.3710 0.2495
O 0.3306 0.1446 0.4228
P 0.6844 0.3316 0.0834
P 0.8143 0.9617 0.4158
O 0.9291 0.5148 0.4210
Nb 0.6663 0.6678 0.5186
O 0.0007 0.8174 0.0867
P 0.5192 0.3718 0.9143
Nb 0.6656 0.6635 0.0200
O 0.4945 0.8064 0.0891
O 0.7299 0.1498 0.5315
O 0.5161 0.8196 0.6975
O 0.5557 0.4687 0.8566
O 0.4282 0.3418 0.9211
In 0.1702 0.6666 0.3167
O 0.0739 0.6437 0.0714
O 0.9136 0.8119 0.3050
Na 0.6689 0.6875 0.1716
O 0.0164 0.8404 0.4092
O 0.2322 0.2930 0.7499
P 0.1666 0.9604 0.9151
O 0.7634 0.8856 0.3598
In 0.5007 0.9998 0.1476
O 0.6540 0.4713 0.4662
Nb 0.4980 0.9961 0.3555
O 0.0564 0.4700 0.8577
P 0.8324 0.6303 0.5811
Na 0.0012 0.6323 0.2500
O 0.2295 0.1490 0.5318
O 0.0950 0.1723 0.8066
O 0.1566 0.8385 0.9679
O 0.0779 0.4787 0.2554
O 0.8466 0.1432 0.0267
O 0.5156 0.1918 0.9108
O 0.8456 0.5469 0.5275
O 0.8925 0.8097 0.1948
O 0.7668 0.8418 0.4694
In 0.6663 0.6728 0.3172
O 0.3122 0.5249 0.6385
P 0.1846 0.0344 0.5838
O 0.5800 0.4709 0.9672
O 0.4256 0.3103 0.5317
Na 0.5008 0.3697 0.7466
O 0.5779 0.4686 0.2573
O 0.0827 0.4730 0.9683
O 0.5159 0.2134 0.1958
O 0.5894 0.2098 0.6968
O 0.0570 0.6445 0.3558
P 0.8332 0.0352 0.0809
O 0.4143 0.3026 0.2427
P 0.9820 0.6311 0.0837
O 0.6580 0.8434 0.2558
O 0.6772 0.8519 0.5726
O 0.0742 0.5034 0.5724
In 0.9983 0.9966 0.6458
O 0.7350 0.1004 0.6428
P 0.6665 0.9607 0.9153
O 0.1843 0.5089 0.0766
O 0.2366 0.1713 0.2421
Nb 0.0009 0.0047 0.3556
O 0.9172 0.5271 0.7500
O 0.2620 0.8866 0.3594
O 0.9504 0.3700 0.6428
O 0.6763 0.4998 0.0717
O 0.5925 0.0025 0.5866
O 0.9916 0.8062 0.8076
O 0.0806 0.1920 0.4112
O 0.9035 0.8390 0.9119
O 0.2480 0.3613 0.1375
P 0.5188 0.6655 0.4156
P 0.6451 0.2901 0.7511
P 0.8537 0.7083 0.2506
O 0.8516 0.5317 0.2508
Nb 0.3337 0.3355 0.1868
O 0.8125 0.1015 0.1375
P 0.4988 0.7073 0.7516
O 0.5914 0.1802 0.0859
O 0.7426 0.1428 0.9221
P 0.1880 0.3358 0.0824
O 0.5791 0.6933 0.4694
O 0.9048 0.9703 0.4102
O 0.0893 0.9670 0.1960
O 0.5799 0.6867 0.7572
Na 0.5015 0.0030 0.0073
P 0.4831 0.3349 0.5836
O 0.0922 0.0022 0.5868
O 0.9252 0.3108 0.5316
O 0.9162 0.3048 0.2514
O 0.5801 0.9690 0.9115
O 0.7323 0.2930 0.7498
O 0.3204 0.1368 0.1373
O 0.0161 0.8197 0.6976
O 0.6778 0.4689 0.3558
O 0.5149 0.8386 0.4100
In 0.4984 0.9966 0.6458
O 0.4080 0.0095 0.0901
Na 0.1829 0.9948 0.7464
O 0.4113 0.0134 0.8063
O 0.2630 0.6764 0.2547
O 0.9494 0.5290 0.1419
O 0.0812 0.6913 0.4664
P 0.4797 0.6247 0.0820
P 0.1450 0.2898 0.7512
Na 0.1729 0.6641 0.1721
O 0.1775 0.8872 0.8571
O 0.4040 0.8402 0.9121
O 0.4115 0.7981 0.3047
Na 0.3330 0.3462 0.8373
P 0.9827 0.3351 0.5835
O 0.7419 0.3414 0.4212
O 0.7322 0.1745 0.2515
O 0.2269 0.3090 0.0274
P 0.3143 0.6670 0.9172
Na 0.4998 0.9999 0.5069
P 0.4982 0.2888 0.2502
O 0.1573 0.8439 0.2561
O 0.6534 0.4693 0.7569
P 0.0202 0.3735 0.9155
O 0.7352 0.3679 0.1418
O 0.4091 0.8146 0.5857
In 0.3329 0.3410 0.6808
Na 0.8325 0.3455 0.8381
O 0.2464 0.8612 0.0766
P 0.3539 0.9993 0.7506
O 0.3941 0.9759 0.6955
O 0.7281 0.3072 0.0304
O 0.2423 0.3392 0.4226
O 0.5956 0.9790 0.1942
P 0.3548 0.7081 0.2488
P 0.6850 0.0354 0.5835
O 0.2349 0.0999 0.6429
O 0.8123 0.5247 0.6384
Na 0.3331 0.3334 0.3415
O 0.0161 0.1929 0.9114
In 0.9980 0.0010 0.1478
O 0.1767 0.8514 0.5726
O 0.0119 0.2145 0.1950
P 0.3132 0.9609 0.4155
Na 0.8329 0.3182 0.3382
Nb 0.1675 0.6685 0.0208
O 0.5928 0.0153 0.3046
O 0.2608 0.8460 0.7556
P 0.8539 0.9992 0.7507
O 0.4172 0.5270 0.7500
In 0.8326 0.3230 0.1834
P 0.8137 0.6653 0.9170
In 0.3332 0.3329 0.4834
O 0.7652 0.6898 0.9700
In 0.8335 0.3346 0.4823
O 0.9995 0.1834 0.5864
O 0.9947 0.1800 0.3060
O 0.4915 0.8058 0.8074
P 0.1672 0.3725 0.4160
O 0.4843 0.1699 0.3049
In 0.6698 0.6668 0.8187
Nb 0.9988 0.9977 0.8569
O 0.1534 0.4691 0.7569
O 0.8940 0.9755 0.6956
O 0.7609 0.8460 0.7556
O 0.7485 0.8502 0.0707
P 0.0001 0.2932 0.2505
In 0.1696 0.6663 0.8185
O 0.3304 0.5166 0.9232
P 0.0199 0.6674 0.4134
In 0.8330 0.3409 0.6809
P 0.1461 0.0025 0.2498
O 0.6778 0.8882 0.8571
O 0.7636 0.6380 0.8603
Nb 0.4989 0.9975 0.8566
O 0.3455 0.5466 0.5277
O 0.5950 0.1725 0.8065
P 0.3328 0.0414 0.0825
O 0.7606 0.6741 0.2561
O 0.4274 0.5455 0.0271
In 0.3334 0.3320 0.9816
Na 0.9989 0.9978 0.0075
O 0.0895 0.2097 0.6969

---

(2)
NaNbInP3O12 | PBE | optimized geometry

VASP energy = -780.42 eV/cell
Total magnetization = 0.00 μB per formula unit

Cell: 8.8362 8.8362 23.1645 Å, 90.00 90.00 120.00°
Sites, in units of the cell vectors:
P 0.2903 0.2891 0.7506
O 0.8068 0.9841 0.4102
In 0.6667 0.3333 0.1852
O 0.9716 0.1844 0.3046
O 0.3029 0.4741 0.7574
P 0.6655 0.0431 0.0839
O 0.0299 0.8296 0.6958
In 0.3333 0.6667 0.5185
O 0.8371 0.3035 0.5291
O 0.7997 0.9701 0.6958
P 0.2903 0.0012 0.2506
P 0.0442 0.3764 0.9172
P 0.3776 0.0431 0.5839
O 0.1712 0.6971 0.7574
O 0.1926 0.0304 0.5908
O 0.0159 0.8227 0.4102
O 0.6362 0.1407 0.4241
Nb 0.6667 0.3333 0.9788
O 0.9696 0.1622 0.5908
O 0.5045 0.3638 0.4241
O 0.5037 0.6368 0.8625
O 0.4664 0.1629 0.5291
O 0.9716 0.7872 0.8046
O 0.8440 0.5265 0.7435
Nb 0.0000 0.0000 0.1455
O 0.6826 0.5265 0.2435
O 0.8593 0.4955 0.4241
O 0.6383 0.1205 0.1380
O 0.3632 0.8669 0.8625
O 0.5045 0.1407 0.9241
O 0.1489 0.6951 0.4713
O 0.1401 0.6508 0.0768
P 0.3776 0.3345 0.0839
O 0.8593 0.3638 0.9241
O 0.5037 0.8669 0.3625
O 0.1712 0.4741 0.2574
Nb 0.6667 0.3333 0.4788
O 0.3049 0.4538 0.4713
O 0.5106 0.8599 0.0768
O 0.5106 0.6508 0.5768
P 0.6655 0.6224 0.5839
O 0.9696 0.8074 0.0908
In 0.0000 0.0000 0.8518
O 0.0159 0.1932 0.9102
Nb 0.0000 0.0000 0.6455
O 0.4822 0.1205 0.6380
P 0.9569 0.3345 0.5839
O 0.1773 0.1932 0.4102
O 0.1704 0.2003 0.6958
P 0.3322 0.3764 0.4172
O 0.4664 0.3035 0.0291
O 0.8378 0.8074 0.5908
Nb 0.3333 0.6667 0.3121
O 0.1331 0.4963 0.8625
P 0.9988 0.2891 0.2506
P 0.7109 0.0012 0.7506
P 0.7109 0.7097 0.2506
Na 0.3333 0.6667 0.6636
O 0.3492 0.8599 0.5768
O 0.4735 0.3174 0.7435
P 0.3322 0.9558 0.9172
O 0.4735 0.1560 0.2435
Nb 0.3333 0.6667 0.8121
Na 0.6667 0.3333 0.8303
O 0.2128 0.0284 0.3046
O 0.1401 0.4894 0.5768
O 0.8371 0.5336 0.0291
O 0.3049 0.8511 0.9713
P 0.6236 0.9558 0.4172
In 0.6667 0.3333 0.6852
O 0.6383 0.5178 0.6380
O 0.3492 0.4894 0.0768
O 0.2128 0.1844 0.8046
O 0.1489 0.4538 0.9713
O 0.5259 0.6971 0.2574
O 0.3632 0.4963 0.3625
Na 0.0000 0.0000 0.9970
Na 0.3333 0.6667 0.1636
O 0.8156 0.0284 0.8046
P 0.9988 0.7097 0.7506
P 0.6236 0.6678 0.9172
O 0.1773 0.9841 0.9102
O 0.8156 0.7872 0.3046
O 0.7997 0.8296 0.1958
O 0.8795 0.3617 0.6380
O 0.6965 0.1629 0.0291
O 0.6362 0.4955 0.9241
O 0.8440 0.3174 0.2435
P 0.9569 0.6224 0.0839
P 0.0442 0.6678 0.4172
Na 0.6667 0.3333 0.3303
In 0.0000 0.0000 0.3518
O 0.5259 0.8288 0.7574
O 0.0299 0.2003 0.1958
O 0.1704 0.9701 0.1958
O 0.3029 0.8288 0.2574
O 0.6826 0.1560 0.7435
O 0.1331 0.6368 0.3625
Na 0.0000 0.0000 0.4970
O 0.5462 0.8511 0.4713
O 0.6965 0.5336 0.5291
O 0.8068 0.8227 0.9102
O 0.4822 0.3617 0.1380
O 0.5462 0.6951 0.9713
O 0.1926 0.1622 0.0908
O 0.8378 0.0304 0.0908
O 0.8795 0.5178 0.1380
In 0.3333 0.6667 0.0185

---

(3)
Na2NbIn3P4S2O24 | PBE | optimized geometry

VASP energy = -721.78 eV/cell
Total magnetization = 0.00 μB per formula unit

Cell: 8.8755 8.8658 23.2085 Å, 90.14 89.84 120.03°
Sites, in units of the cell vectors:
O 0.4738 0.1484 0.2455
O 0.6813 0.1530 0.0306
O 0.6425 0.1196 0.1360
In 0.0008 0.0003 0.8508
O 0.6438 0.5239 0.6342
S 0.2957 0.0004 0.2511
O 0.6729 0.1536 0.7450
O 0.2141 0.1856 0.8037
O 0.6337 0.4959 0.9239
O 0.5481 0.8528 0.4723
O 0.5474 0.6967 0.9723
O 0.5053 0.6396 0.8642
O 0.1429 0.6504 0.3633
S 0.6650 0.0446 0.0822
O 0.1432 0.6507 0.0767
O 0.9817 0.1736 0.5878
O 0.8874 0.5229 0.1376
P 0.7047 0.7037 0.2505
Na 0.6810 0.3407 0.3312
P 0.9980 0.2912 0.2509
O 0.1308 0.4937 0.8639
O 0.4774 0.3182 0.0289
O 0.1947 0.0220 0.5873
Na 0.0057 0.0004 0.9974
O 0.5177 0.8309 0.7616
O 0.3064 0.4489 0.4692
O 0.8617 0.3078 0.5300
In 0.6739 0.3324 0.4781
In 0.9968 0.0004 0.1458
O 0.8573 0.3639 0.9242
O 0.9628 0.8029 0.0832
O 0.2189 0.0271 0.3034
O 0.3607 0.4975 0.0783
O 0.5073 0.6447 0.5784
P 0.0416 0.6704 0.4166
O 0.3079 0.8532 0.9724
O 0.1808 0.9882 0.9104
O 0.4811 0.3277 0.7450
P 0.3743 0.3326 0.0838
O 0.0301 0.8359 0.4098
S 0.3326 0.3742 0.4159
O 0.5075 0.8543 0.3638
O 0.6886 0.5471 0.5291
Nb 0.3316 0.6670 0.8151
O 0.1882 0.2318 0.6951
In 0.0000 0.9995 0.6566
O 0.5186 0.6872 0.2624
P 0.3339 0.9586 0.9185
O 0.4759 0.1236 0.6345
O 0.7759 0.8161 0.1964
P 0.2953 0.2972 0.7510
O 0.0442 0.8121 0.6950
Na 0.9927 0.9915 0.4984
O 0.1793 0.1998 0.4095
O 0.1960 0.1628 0.0833
O 0.3623 0.8676 0.8644
O 0.8620 0.5013 0.4165
O 0.4517 0.1426 0.5297
P 0.6244 0.6710 0.9176
O 0.8077 0.9830 0.4123
In 0.9883 0.9935 0.3503
O 0.1651 0.4803 0.2625
O 0.9752 0.1879 0.3058
In 0.6672 0.3338 0.6877
Nb 0.6648 0.3423 0.9777
P 0.0392 0.3728 0.9175
O 0.3126 0.8379 0.2590
O 0.8083 0.8213 0.9102
O 0.7678 0.9558 0.6949
P 0.9614 0.6281 0.0826
O 0.8418 0.5228 0.0286
O 0.8828 0.3573 0.6346
O 0.5071 0.1414 0.9250
O 0.5107 0.8692 0.0777
O 0.8464 0.5192 0.7449
O 0.1418 0.6907 0.4721
O 0.1409 0.4899 0.5786
Nb 0.3322 0.6677 0.3133
Na 0.6668 0.3314 0.8289
O 0.8137 0.7790 0.3046
O 0.0092 0.1898 0.9094
O 0.8275 0.0352 0.0832
S 0.6670 0.6289 0.5823
O 0.1688 0.6872 0.7612
S 0.3702 0.0405 0.5829
P 0.0018 0.7051 0.7510
O 0.8245 0.8047 0.5867
P 0.7030 0.9979 0.7511
O 0.8404 0.3178 0.2459
O 0.9711 0.7858 0.8038
O 0.3530 0.8641 0.5799
Na 0.3280 0.6538 0.1588
O 0.6676 0.5156 0.2462
In 0.6753 0.3450 0.1839
O 0.4769 0.3516 0.1385
Na 0.3339 0.6667 0.6695
O 0.1888 0.9643 0.1993
In 0.3329 0.6718 0.5168
S 0.9644 0.3313 0.5831
O 0.3518 0.4847 0.3645
O 0.3130 0.4823 0.7616
O 0.1446 0.4485 0.9716
O 0.6260 0.1336 0.4170
O 0.0422 0.2227 0.1966
In 0.3289 0.6610 0.0172
O 0.4954 0.3662 0.4181
P 0.6248 0.9585 0.4173
O 0.8149 0.0284 0.8036